# Na10LaNb7Si12O48 | the Materials Project database | GGA-PBE | relaxed
data_Na10LaNb7Si12O48
_chemical_formula_sum 'Na30 La3 Nb21 Si36 O144'
_symmetry_space_group_name_H-M 'P 1'
_symmetry_Int_Tables_number 1
_cell_length_a 9.1382
_cell_length_b 15.7823
_cell_length_c 22.6257
_cell_angle_alpha 90.01
_cell_angle_beta 90.02
_cell_angle_gamma 90.10
loop_
_symmetry_equiv_pos_as_xyz
'x,y,z'
loop_
_atom_site_label
_atom_site_fract_x
_atom_site_fract_y
_atom_site_fract_z
Na1 0.0000 0.0000 0.0000
Na2 0.0019 0.3291 0.6685
Na3 0.0535 0.3054 0.0002
Na4 0.1599 0.8115 0.2509
Na5 0.1792 0.1423 0.4151
Na6 0.1795 0.1433 0.9143
Na7 0.1864 0.8029 0.7492
Na8 0.1867 0.4687 0.0847
Na9 0.1934 0.4864 0.5857
Na10 0.3054 0.3075 0.5002
Na11 0.3199 0.6412 0.1680
Na12 0.3613 0.9959 0.5008
Na13 0.3629 0.9657 0.1678
Na14 0.4867 0.1240 0.0001
Na15 0.4955 0.7936 0.3328
Na16 0.4994 0.5000 0.9990
Na17 0.5393 0.1396 0.6677
Na18 0.5527 0.8055 0.0000
Na19 0.6697 0.3096 0.2518
Na20 0.6734 0.3166 0.7508
Na21 0.6756 0.9651 0.5837
Na22 0.6793 0.6431 0.4176
Na23 0.6799 0.6424 0.9131
Na24 0.6869 0.9692 0.0851
Na25 0.8211 0.1417 0.1682
Na26 0.8629 0.4964 0.5010
Na27 0.8644 0.4643 0.1667
Na28 0.8728 0.1230 0.5003
Na29 0.9865 0.6237 0.9993
Na30 0.9939 0.9598 0.6654
La1 0.1806 0.1417 0.5705
La2 0.1810 0.1451 0.0719
La3 0.6805 0.6449 0.0708
Nb1 0.1767 0.8061 0.3946
Nb2 0.1770 0.8098 0.1036
Nb3 0.1795 0.1439 0.2703
Nb4 0.1795 0.4765 0.9340
Nb5 0.1799 0.8099 0.8898
Nb6 0.1807 0.1436 0.7699
Nb7 0.1808 0.8053 0.6050
Nb8 0.1817 0.4739 0.2349
Nb9 0.1816 0.4797 0.4375
Nb10 0.1829 0.4830 0.7293
Nb11 0.6765 0.3093 0.1037
Nb12 0.6769 0.6468 0.5623
Nb13 0.6776 0.3136 0.6042
Nb14 0.6776 0.9706 0.7323
Nb15 0.6804 0.3123 0.3920
Nb16 0.6802 0.6422 0.7717
Nb17 0.6798 0.9766 0.9345
Nb18 0.6808 0.3098 0.8892
Nb19 0.6820 0.9736 0.4375
Nb20 0.6829 0.9753 0.2351
Nb21 0.6844 0.6404 0.2692
Si1 0.0266 0.9921 0.1663
Si2 0.0300 0.6223 0.8330
Si3 0.0306 0.2953 0.1655
Si4 0.0312 0.9486 0.4992
Si5 0.0340 0.6649 0.4992
Si6 0.0365 0.3320 0.8297
Si7 0.3162 0.6646 0.9969
Si8 0.3221 0.3290 0.3368
Si9 0.3294 0.9506 0.9971
Si10 0.3299 0.2957 0.6662
Si11 0.3297 0.6216 0.3329
Si12 0.3304 0.9901 0.6666
Si13 0.3855 0.9789 0.3356
Si14 0.3944 0.6434 0.6668
Si15 0.3948 0.3141 0.9953
Si16 0.4665 0.8083 0.4985
Si17 0.4709 0.4782 0.8329
Si18 0.4815 0.1427 0.1675
Si19 0.5254 0.4910 0.1660
Si20 0.5302 0.7959 0.1667
Si21 0.5320 0.1209 0.8321
Si22 0.5335 0.4559 0.4981
Si23 0.5364 0.8265 0.8351
Si24 0.5431 0.1655 0.4978
Si25 0.8168 0.1649 0.9966
Si26 0.8255 0.7862 0.6673
Si27 0.8267 0.5018 0.6649
Si28 0.8280 0.1228 0.3350
Si29 0.8281 0.8283 0.3343
Si30 0.8293 0.4499 0.9969
Si31 0.8773 0.1421 0.6665
Si32 0.8878 0.4782 0.3344
Si33 0.8947 0.8143 0.9956
Si34 0.9670 0.3136 0.4974
Si35 0.9728 0.9778 0.8317
Si36 0.9838 0.6423 0.1667
O1 0.0022 0.8215 0.0553
O2 0.0031 0.7975 0.6598
O3 0.0032 0.8076 0.9394
O4 0.0042 0.1574 0.7172
O5 0.0040 0.4861 0.6706
O6 0.0043 0.8177 0.3385
O7 0.0048 0.1306 0.3244
O8 0.0100 0.4552 0.9944
O9 0.0204 0.0418 0.1038
O10 0.0661 0.2298 0.4957
O11 0.0678 0.3921 0.7727
O12 0.0683 0.4003 0.4955
O13 0.0683 0.5630 0.8922
O14 0.0699 0.8976 0.5604
O15 0.0717 0.0635 0.8243
O16 0.0721 0.2240 0.2160
O17 0.0755 0.7201 0.4403
O18 0.0776 0.8950 0.8381
O19 0.0820 0.7286 0.1626
O20 0.0887 0.3916 0.1788
O21 0.0929 0.2734 0.1009
O22 0.0935 0.5631 0.1800
O23 0.1030 0.5737 0.7767
O24 0.1035 0.8949 0.4439
O25 0.1045 0.7138 0.5563
O26 0.1049 0.0414 0.4950
O27 0.1061 0.7155 0.8377
O28 0.1081 0.3788 0.8896
O29 0.1084 0.5699 0.4944
O30 0.1120 0.0479 0.2173
O31 0.1144 0.2388 0.8228
O32 0.1165 0.9027 0.1618
O33 0.2344 0.5713 0.9949
O34 0.2395 0.9009 0.6633
O35 0.2463 0.2367 0.3251
O36 0.2471 0.0484 0.7171
O37 0.2520 0.3759 0.3957
O38 0.2541 0.7117 0.0582
O39 0.2563 0.3874 0.6798
O40 0.2567 0.0434 0.9970
O41 0.2568 0.2716 0.6035
O42 0.2607 0.5758 0.2753
O43 0.2607 0.7170 0.3375
O44 0.2636 0.8984 0.9413
O45 0.2694 0.7235 0.9412
O46 0.2813 0.3914 0.2815
O47 0.2830 0.0619 0.3254
O48 0.2871 0.5607 0.6723
O49 0.2892 0.5611 0.3903
O50 0.2886 0.8913 0.3407
O51 0.2912 0.2239 0.7171
O52 0.2908 0.7273 0.6578
O53 0.2912 0.8954 0.0584
O54 0.2931 0.2309 0.9960
O55 0.2954 0.4012 0.9947
O56 0.3396 0.0401 0.6044
O57 0.3493 0.7983 0.1642
O58 0.3531 0.4783 0.1808
O59 0.3542 0.4608 0.4946
O60 0.3544 0.8234 0.5543
O61 0.3546 0.1291 0.8241
O62 0.3556 0.4699 0.7783
O63 0.3569 0.1541 0.2190
O64 0.3592 0.8195 0.8380
O65 0.3655 0.4891 0.8928
O66 0.3680 0.1556 0.4959
O67 0.3677 0.7955 0.4385
O68 0.4114 0.1134 0.1052
O69 0.4914 0.6547 0.9961
O70 0.4928 0.9893 0.3941
O71 0.4960 0.9633 0.2796
O72 0.4994 0.3208 0.3405
O73 0.5005 0.6560 0.7240
O74 0.5021 0.3214 0.0553
O75 0.5017 0.6309 0.6087
O76 0.5040 0.3075 0.9392
O77 0.5043 0.9778 0.6813
O78 0.5074 0.6336 0.3261
O79 0.5100 0.2966 0.6625
O80 0.5101 0.9566 0.9949
O81 0.5212 0.5419 0.1042
O82 0.5630 0.8968 0.4936
O83 0.5671 0.0619 0.8918
O84 0.5692 0.3925 0.5551
O85 0.5706 0.7273 0.2198
O86 0.5732 0.3937 0.8369
O87 0.5732 0.5620 0.8270
O88 0.5738 0.7261 0.5059
O89 0.5806 0.8881 0.7801
O90 0.5826 0.2282 0.1623
O91 0.5881 0.2277 0.4430
O92 0.5875 0.8925 0.1790
O93 0.5919 0.0632 0.1816
O94 0.5938 0.7717 0.1027
O95 0.6037 0.0704 0.7764
O96 0.6047 0.4091 0.4409
O97 0.6060 0.2147 0.8370
O98 0.6056 0.8759 0.8941
O99 0.6072 0.2116 0.5589
O100 0.6099 0.5486 0.2176
O101 0.6129 0.7347 0.8289
O102 0.6144 0.5474 0.5053
O103 0.6182 0.4030 0.1622
O104 0.6228 0.0715 0.4945
O105 0.7349 0.0714 0.9945
O106 0.7428 0.7378 0.3259
O107 0.7487 0.8769 0.3905
O108 0.7522 0.5481 0.7221
O109 0.7534 0.7392 0.6089
O110 0.7541 0.2118 0.0579
O111 0.7546 0.2169 0.3401
O112 0.7552 0.4054 0.6577
O113 0.7560 0.0745 0.2780
O114 0.7570 0.5428 0.9966
O115 0.7599 0.8835 0.6718
O116 0.7637 0.3980 0.9408
O117 0.7677 0.0617 0.6793
O118 0.7700 0.2233 0.9406
O119 0.7823 0.3952 0.3374
O120 0.7832 0.2310 0.6629
O121 0.7855 0.5634 0.3257
O122 0.7873 0.8891 0.2784
O123 0.7877 0.7275 0.7244
O124 0.7906 0.3953 0.0583
O125 0.7918 0.0619 0.3929
O126 0.7920 0.5574 0.6051
O127 0.7924 0.7315 0.9962
O128 0.7967 0.9021 0.9949
O129 0.8496 0.2981 0.1635
O130 0.8519 0.9586 0.4932
O131 0.8530 0.9800 0.1809
O132 0.8535 0.6290 0.8277
O133 0.8555 0.3099 0.4413
O134 0.8568 0.6519 0.5038
O135 0.8581 0.6536 0.2189
O136 0.8594 0.3200 0.8372
O137 0.8634 0.3220 0.5577
O138 0.8631 0.9891 0.8903
O139 0.8680 0.9640 0.7741
O140 0.9098 0.6136 0.1051
O141 0.9484 0.1153 0.6040
O142 0.9918 0.1547 0.9959
O143 0.9937 0.4692 0.2770
O144 0.9941 0.4896 0.3929
# V = 3263.1 Å³ per cell
# Formation energy from the elements = -3.002 eV per atom
# Calculated total energy = -1777.99 eV for the cell shown